Run A
Material: FeCu2BO5
Method: DFT, PBE+U
State: optimized geometry

CIF file:
```
data_FeCu2BO5
_chemical_formula_sum 'Fe4 Cu8 B4 O20'
_symmetry_space_group_name_H-M 'P 1'
_symmetry_Int_Tables_number 1
_cell_length_a 3.1455
_cell_length_b 9.7467
_cell_length_c 12.1492
_cell_angle_alpha 89.43
_cell_angle_beta 89.54
_cell_angle_gamma 81.59
loop_
_symmetry_equiv_pos_as_xyz
'x,y,z'
loop_
_atom_site_label
_atom_site_fract_x
_atom_site_fract_y
_atom_site_fract_z
Fe1 0.0000 0.0000 0.0000
Fe2 0.0278 0.5101 0.2630
Fe3 0.8825 0.4692 0.7669
Fe4 0.9533 0.2283 0.3871
Cu1 0.3779 0.7239 0.6607
Cu2 0.4290 0.2292 0.6068
Cu3 0.4370 0.7359 0.3852
Cu4 0.4425 0.2341 0.8839
Cu5 0.4685 0.2395 0.1622
Cu6 0.4938 0.7435 0.1036
Cu7 0.8780 0.9601 0.5023
Cu8 0.9402 0.7349 0.8831
B1 0.8909 0.4991 0.5178
B2 0.9053 0.9978 0.7473
B3 0.9816 0.4711 0.0184
B4 0.9987 0.9682 0.2496
O1 0.0398 0.4069 0.1204
O2 0.0664 0.9035 0.1492
O3 0.3316 0.6048 0.7961
O4 0.3811 0.8258 0.5283
O5 0.4337 0.3340 0.7404
O6 0.4361 0.3433 0.3058
O7 0.4509 0.1348 0.0282
O8 0.4624 0.6349 0.2383
O9 0.4943 0.1327 0.4609
O10 0.5554 0.8644 0.9716
O11 0.8211 0.5650 0.6172
O12 0.8447 0.0621 0.6464
O13 0.8722 0.5730 0.4195
O14 0.8908 0.0744 0.8437
O15 0.9039 0.6148 0.0148
O16 0.9230 0.1123 0.2510
O17 0.9840 0.3562 0.5161
O18 0.9890 0.8541 0.7530
O19 0.9932 0.3947 0.9234
O20 0.9976 0.8922 0.3458
```

Summary:
M_tot in μB per atom: 0.61
Crystal system: triclinic

---

Run B
Material: FeCu2BO5
Method: DFT, PBE+U
State: optimized geometry

CIF file:
```
data_FeCu2BO5
_chemical_formula_sum 'Fe4 Cu8 B4 O20'
_symmetry_space_group_name_H-M 'P 1 21/c 1'
_symmetry_Int_Tables_number 14
_cell_length_a 3.1352
_cell_length_b 12.1889
_cell_length_c 9.6514
_cell_angle_alpha 90.00
_cell_angle_beta 97.67
_cell_angle_gamma 90.00
loop_
_symmetry_equiv_pos_as_xyz
'x,y,z'
'-x,-y,-z'
'-x,y+1/2,-z+1/2'
'x,-y+1/2,z+1/2'
loop_
_atom_site_label
_atom_site_fract_x
_atom_site_fract_y
_atom_site_fract_z
Fe1 0.0556 0.1178 0.2345
Cu1 0.0000 0.0000 0.5000
Cu2 0.4551 0.7225 0.0095
Cu3 0.5000 0.0000 0.0000
B1 0.0481 0.1336 0.7632
O1 0.0377 0.6309 0.8809
O2 0.0531 0.0380 0.8401
O3 0.1171 0.2337 0.8284
O4 0.3982 0.5880 0.1271
O5 0.4913 0.6451 0.4007
```

Summary:
M_tot in μB per atom: 0.44
Crystal system: monoclinic

---

Most stable one: run B, least stable one: run A.

---

Run A
Material: GdFe3B4O12
Method: DFT, PBE+U
State: optimized geometry

CIF file:
```
data_GdFe3B4O12
_chemical_formula_sum 'Gd3 Fe9 B12 O36'
_symmetry_space_group_name_H-M 'P 31 2 1'
_symmetry_Int_Tables_number 152
_cell_length_a 9.6554
_cell_length_b 9.6554
_cell_length_c 7.6820
_cell_angle_alpha 90.00
_cell_angle_beta 90.00
_cell_angle_gamma 120.00
loop_
_symmetry_equiv_pos_as_xyz
'x,y,z'
'-y,x-y,z+1/3'
'-x+y,-x,z+2/3'
'y,x,-z'
'x-y,-y,-z+2/3'
'-x,-x+y,-z+1/3'
loop_
_atom_site_label
_atom_site_fract_x
_atom_site_fract_y
_atom_site_fract_z
Gd1 0.0000 0.3335 0.1667
Fe1 0.0000 0.8839 0.1667
Fe2 0.2155 0.6658 0.4970
B1 0.0000 0.3328 0.6667
B2 0.0000 0.7805 0.6667
B3 0.1172 0.6694 0.9962
O1 0.0000 0.1893 0.6667
O2 0.0000 0.9239 0.6667
O3 0.0203 0.5426 0.3499
O4 0.1216 0.8138 0.0150
O5 0.1438 0.4760 0.6642
O6 0.1461 0.7874 0.6503
O7 0.2630 0.6742 0.9895
```

Summary:
M_tot in μB per atom: 1.10
Crystal system: trigonal

---

Run B
Material: GdFe3B4O12
Method: DFT, PBE+U
State: optimized geometry

CIF file:
```
data_GdFe3B4O12
_chemical_formula_sum 'Gd3 Fe9 B12 O36'
_symmetry_space_group_name_H-M 'R 3 2'
_symmetry_Int_Tables_number 155
_symmetry_space_group_name_Hall 'R 3 2"'
_cell_length_a 9.4717
_cell_length_b 9.4717
_cell_length_c 7.4195
_cell_angle_alpha 90.00
_cell_angle_beta 90.00
_cell_angle_gamma 120.00
loop_
_atom_site_label
_atom_site_fract_x
_atom_site_fract_y
_atom_site_fract_z
Gd1 0.0000 0.0000 0.0000
Fe1 0.0000 0.4430 0.0000
B1 0.0000 0.0000 0.5000
B2 0.0000 0.5595 0.5000
O1 0.0000 0.1466 0.5000
O2 0.0000 0.4122 0.5000
O3 0.0308 0.8154 0.1868
```

Summary:
M_tot in μB per atom: 0.20
Crystal system: trigonal

---

Most stable one: run A, least stable one: run B.

---

Run A
Material: Li8MnFe7B8O24
Method: DFT, PBE+U
State: optimized geometry

CIF file:
```
data_Li8MnFe7B8O24
_chemical_formula_sum 'Li8 Mn1 Fe7 B8 O24'
_symmetry_space_group_name_H-M 'P 1'
_symmetry_Int_Tables_number 1
_cell_length_a 6.0262
_cell_length_b 9.7153
_cell_length_c 9.7207
_cell_angle_alpha 65.10
_cell_angle_beta 79.67
_cell_angle_gamma 78.52
loop_
_symmetry_equiv_pos_as_xyz
'x,y,z'
loop_
_atom_site_label
_atom_site_fract_x
_atom_site_fract_y
_atom_site_fract_z
Li1 0.0000 0.0000 0.0000
Li2 0.9997 0.4991 0.5005
Li3 0.4085 0.5659 0.3700
Li4 0.4103 0.0668 0.8700
Li5 0.4994 0.4996 0.0009
Li6 0.5003 0.0001 0.5024
Li7 0.9093 0.5666 0.8702
Li8 0.9103 0.0685 0.3706
Mn1 0.7694 0.8274 0.3106
Fe1 0.1389 0.2429 0.0604
Fe2 0.1426 0.7379 0.5580
Fe3 0.2703 0.3257 0.3138
Fe4 0.2702 0.8265 0.8077
Fe5 0.6362 0.7422 0.0564
Fe6 0.6399 0.2429 0.5578
Fe7 0.7716 0.3230 0.8131
B1 0.1200 0.1653 0.6480
B2 0.1214 0.6654 0.1455
B3 0.2884 0.9012 0.2229
B4 0.2909 0.4004 0.7239
B5 0.6183 0.1669 0.1483
B6 0.6231 0.6632 0.6505
B7 0.7902 0.4016 0.2226
B8 0.7906 0.9012 0.7227
O1 0.1189 0.3946 0.8421
O2 0.1190 0.8965 0.3433
O3 0.1320 0.5464 0.2886
O4 0.1333 0.0461 0.7899
O5 0.2761 0.0205 0.0812
O6 0.2784 0.5200 0.5821
O7 0.2908 0.1712 0.5286
O8 0.2958 0.6711 0.0289
O9 0.4375 0.2878 0.1222
O10 0.4413 0.7852 0.6243
O11 0.4679 0.7790 0.2471
O12 0.4716 0.2791 0.7477
O13 0.6177 0.8956 0.8414
O14 0.6191 0.3953 0.3424
O15 0.6314 0.5447 0.7922
O16 0.6317 0.0497 0.2915
O17 0.7770 0.5197 0.0816
O18 0.7776 0.0208 0.5814
O19 0.7900 0.1704 0.0298
O20 0.7960 0.6680 0.5330
O21 0.9391 0.2866 0.6240
O22 0.9402 0.7862 0.1195
O23 0.9711 0.7802 0.7480
O24 0.9719 0.2802 0.2475
```

Summary:
M_tot in μB per atom: 0.69
Crystal system: triclinic

---

Run B
Material: Li8MnFe7B8O24
Method: DFT, PBE+U
State: optimized geometry

CIF file:
```
data_Li8MnFe7B8O24
_chemical_formula_sum 'Li8 Mn1 Fe7 B8 O24'
_symmetry_space_group_name_H-M 'P 1'
_symmetry_Int_Tables_number 1
_cell_length_a 5.2217
_cell_length_b 9.0636
_cell_length_c 10.4002
_cell_angle_alpha 88.37
_cell_angle_beta 88.95
_cell_angle_gamma 89.99
loop_
_symmetry_equiv_pos_as_xyz
'x,y,z'
loop_
_atom_site_label
_atom_site_fract_x
_atom_site_fract_y
_atom_site_fract_z
Li1 0.0000 0.0000 0.0000
Li2 0.0194 0.9946 0.4991
Li3 0.3353 0.3411 0.2508
Li4 0.3637 0.3318 0.7517
Li5 0.4970 0.4982 0.9987
Li6 0.5195 0.4937 0.4994
Li7 0.8322 0.8405 0.2492
Li8 0.8644 0.8324 0.7527
Mn1 0.0143 0.6656 0.4685
Fe1 0.0074 0.3374 0.9681
Fe2 0.3476 0.0090 0.2185
Fe3 0.3659 0.6689 0.7157
Fe4 0.4988 0.8358 0.9671
Fe5 0.5158 0.1683 0.4698
Fe6 0.8395 0.5073 0.2171
Fe7 0.8617 0.1675 0.7179
B1 0.0097 0.3316 0.4594
B2 0.0129 0.6672 0.9595
B3 0.3437 0.6684 0.2093
B4 0.3517 0.0017 0.7103
B5 0.5125 0.8364 0.4608
B6 0.5159 0.1664 0.9597
B7 0.8478 0.1683 0.2099
B8 0.8530 0.5005 0.7127
O1 0.0874 0.6771 0.2487
O2 0.0876 0.9901 0.6985
O3 0.2739 0.3407 0.4465
O4 0.2767 0.6541 0.9314
O5 0.3588 0.9585 0.4303
O6 0.3769 0.0418 0.0010
O7 0.3934 0.3009 0.9458
O8 0.4015 0.7028 0.5033
O9 0.4599 0.5309 0.1973
O10 0.4712 0.1368 0.6802
O11 0.4840 0.7959 0.1806
O12 0.4946 0.8794 0.7495
O13 0.5889 0.4896 0.6996
O14 0.5910 0.1791 0.2490
O15 0.7754 0.8474 0.4462
O16 0.7780 0.1544 0.9302
O17 0.8601 0.4555 0.4292
O18 0.8733 0.5412 0.9994
O19 0.8935 0.1999 0.5010
O20 0.8937 0.8017 0.9464
O21 0.9612 0.0309 0.1973
O22 0.9738 0.6354 0.6837
O23 0.9895 0.2964 0.1809
O24 0.9946 0.3770 0.7496
```

Summary:
M_tot in μB per atom: 0.69
Crystal system: triclinic

---

Run C
Material: Li8MnFe7B8O24
Method: DFT, PBE+U
State: optimized geometry

CIF file:
```
data_Li8MnFe7B8O24
_chemical_formula_sum 'Li8 Mn1 Fe7 B8 O24'
_symmetry_space_group_name_H-M 'P 1'
_symmetry_Int_Tables_number 1
_cell_length_a 5.2398
_cell_length_b 9.0162
_cell_length_c 11.1169
_cell_angle_alpha 107.81
_cell_angle_beta 90.76
_cell_angle_gamma 90.81
loop_
_symmetry_equiv_pos_as_xyz
'x,y,z'
loop_
_atom_site_label
_atom_site_fract_x
_atom_site_fract_y
_atom_site_fract_z
Li1 0.0000 0.0000 0.0000
Li2 0.0000 0.4990 0.4991
Li3 0.1933 0.2644 0.3230
Li4 0.1930 0.7651 0.8226
Li5 0.4995 0.4989 0.0023
Li6 0.5002 0.0004 0.5000
Li7 0.6928 0.7643 0.3231
Li8 0.6951 0.2637 0.8256
Mn1 0.6763 0.5804 0.7785
Fe1 0.0100 0.1825 0.5444
Fe2 0.0157 0.6852 0.0430
Fe3 0.1746 0.5837 0.2781
Fe4 0.1828 0.0828 0.7787
Fe5 0.5095 0.1825 0.0443
Fe6 0.5090 0.6820 0.5405
Fe7 0.6835 0.0837 0.2793
B1 0.0171 0.3464 0.0340
B2 0.0166 0.8466 0.5325
B3 0.1775 0.9193 0.2918
B4 0.1777 0.4175 0.7932
B5 0.5170 0.3456 0.5307
B6 0.5198 0.8460 0.0338
B7 0.6746 0.9196 0.7907
B8 0.6769 0.4188 0.2915
O1 0.0284 0.2797 0.7505
O2 0.0321 0.7800 0.2510
O3 0.0518 0.0609 0.3186
O4 0.0592 0.5615 0.8219
O5 0.1390 0.7038 0.5053
O6 0.1405 0.2036 0.0064
O7 0.1639 0.4848 0.0743
O8 0.1640 0.9851 0.5730
O9 0.2564 0.3495 0.5139
O10 0.2594 0.8498 0.0153
O11 0.4379 0.4094 0.8110
O12 0.4379 0.9154 0.3093
O13 0.5273 0.7817 0.7480
O14 0.5305 0.2796 0.2506
O15 0.5509 0.0620 0.8202
O16 0.5519 0.5608 0.3200
O17 0.6418 0.2038 0.5046
O18 0.6430 0.7032 0.0071
O19 0.6634 0.4847 0.5705
O20 0.6651 0.9852 0.0735
O21 0.7562 0.8515 0.5140
O22 0.7570 0.3502 0.0158
O23 0.9352 0.9148 0.8096
O24 0.9380 0.4131 0.3088
```

Summary:
M_tot in μB per atom: 0.69
Crystal system: triclinic

---

Most stable one: run B, least stable one: run C.

---

Run A
Material: Li4MnFe3B4O12
Method: DFT, PBE+U
State: optimized geometry

CIF file:
```
data_Li4MnFe3B4O12
_chemical_formula_sum 'Li4 Mn1 Fe3 B4 O12'
_symmetry_space_group_name_H-M 'P 1'
_symmetry_Int_Tables_number 1
_cell_length_a 5.2278
_cell_length_b 5.2301
_cell_length_c 10.4064
_cell_angle_alpha 90.77
_cell_angle_beta 91.23
_cell_angle_gamma 119.90
loop_
_symmetry_equiv_pos_as_xyz
'x,y,z'
loop_
_atom_site_label
_atom_site_fract_x
_atom_site_fract_y
_atom_site_fract_z
Li1 0.0000 0.0000 0.0000
Li2 0.0317 0.9924 0.4971
Li3 0.3193 0.3159 0.2494
Li4 0.3520 0.3139 0.7472
Mn1 0.6786 0.3309 0.0316
Fe1 0.0125 0.6594 0.7826
Fe2 0.3616 0.6770 0.5350
Fe3 0.6654 0.9774 0.2852
B1 0.9999 0.6477 0.2912
B2 0.3405 0.6573 0.0395
B3 0.6816 0.9907 0.7877
B4 0.6872 0.3289 0.5392
O1 0.0157 0.9212 0.3051
O2 0.1031 0.6897 0.9974
O3 0.2509 0.6274 0.3215
O4 0.3095 0.3807 0.0529
O5 0.4145 0.3059 0.5512
O6 0.4334 0.7263 0.7494
O7 0.6131 0.9087 0.0714
O8 0.6600 0.2419 0.8160
O9 0.7097 0.0819 0.5006
O10 0.7387 0.3987 0.2498
O11 0.9440 0.5970 0.5699
O12 0.9568 0.0111 0.8012
```

Summary:
M_tot in μB per atom: 0.71
Crystal system: triclinic

---

Run B
Material: Li4MnFe3B4O12
Method: DFT, PBE+U
State: optimized geometry

CIF file:
```
data_Li4MnFe3B4O12
_chemical_formula_sum 'Li8 Mn2 Fe6 B8 O24'
_symmetry_space_group_name_H-M 'P 1'
_symmetry_Int_Tables_number 1
_cell_length_a 5.2206
_cell_length_b 5.9985
_cell_length_c 16.1215
_cell_angle_alpha 81.78
_cell_angle_beta 88.92
_cell_angle_gamma 89.24
loop_
_symmetry_equiv_pos_as_xyz
'x,y,z'
loop_
_atom_site_label
_atom_site_fract_x
_atom_site_fract_y
_atom_site_fract_z
Li1 0.0000 0.0000 0.0000
Li2 0.0001 0.5004 0.4988
Li3 0.3014 0.8751 0.2170
Li4 0.3027 0.3743 0.7191
Li5 0.4977 0.7488 0.7513
Li6 0.5008 0.2516 0.2484
Li7 0.8015 0.1230 0.4674
Li8 0.8027 0.6246 0.9685
Mn1 0.3179 0.9636 0.3992
Mn2 0.8166 0.2131 0.6488
Fe1 0.3112 0.4645 0.9002
Fe2 0.4892 0.6604 0.5692
Fe3 0.4909 0.1628 0.0675
Fe4 0.8113 0.7126 0.1499
Fe5 0.9774 0.4114 0.3198
Fe6 0.9772 0.9117 0.8187
B1 0.3207 0.1516 0.5611
B2 0.3213 0.6488 0.0611
B3 0.4780 0.4742 0.4059
B4 0.4795 0.9744 0.9068
B5 0.8201 0.9021 0.3095
B6 0.8209 0.3997 0.8118
B7 0.9812 0.2266 0.1559
B8 0.9823 0.7247 0.6564
O1 0.0606 0.1719 0.5463
O2 0.0612 0.6729 0.0495
O3 0.2412 0.2017 0.1676
O4 0.2418 0.7027 0.6681
O5 0.3317 0.6054 0.4548
O6 0.3332 0.1087 0.9549
O7 0.3576 0.8552 0.8514
O8 0.3588 0.3570 0.3492
O9 0.4341 0.2731 0.6178
O10 0.4435 0.7641 0.1183
O11 0.4700 0.5167 0.0127
O12 0.4739 0.0157 0.5159
O13 0.5598 0.9222 0.2963
O14 0.5612 0.4226 0.7993
O15 0.7407 0.4544 0.4176
O16 0.7424 0.9534 0.9185
O17 0.8344 0.3600 0.2038
O18 0.8342 0.8560 0.7052
O19 0.8584 0.1103 0.0990
O20 0.8601 0.6105 0.5988
O21 0.9361 0.0208 0.3667
O22 0.9428 0.5169 0.8685
O23 0.9710 0.7671 0.2631
O24 0.9716 0.2667 0.7645
```

Summary:
M_tot in μB per atom: 0.71
Crystal system: triclinic

---

Most stable one: run A, least stable one: run B.